Entry from Materials Project: a relaxed structure of BaLa2BeO5 (PBE-GGA).

a b c (Å): 7.522 6.896 10.001
angles (deg): 90.00 90.78 90.00
Space group P2_1/c (No. 14)
One atom of each set of equivalent atoms:
Ba1 0.019 0.082 0.328 (multiplicity 4)
La1 0.255 0.588 0.480 (multiplicity 4)
La2 0.478 0.082 0.324 (multiplicity 4)
Be1 0.260 0.193 0.597 (multiplicity 4)
O1 0.070 0.194 0.062 (multiplicity 4)
O2 0.277 0.132 0.766 (multiplicity 4)
O3 0.278 0.513 0.010 (multiplicity 4)
O4 0.283 0.664 0.714 (multiplicity 4)
O5 0.440 0.179 0.065 (multiplicity 4)

## Properties
As for the crystal system: monoclinic. The value obtained for the energy of formation from the pure elements is -3.49 eV/atom.

=====

Entry from Materials Project: a relaxed structure of CsSbF6 (PBE-GGA).

a b c (Å): 8.1177 8.1177 8.3662
angles (deg): 90.00 90.00 120.00
Space group R-3 (No. 148, hexagonal axes)
One atom of each set of equivalent atoms:
Cs1 0.0000 0.0000 0.0000 (multiplicity 3)
Sb1 0.0000 0.0000 0.5000 (multiplicity 3)
F1 0.0661 0.2160 0.6350 (multiplicity 18)

## Properties
As for the crystal system: trigonal. The value obtained for the energy of formation from the pure elements is -2.92 eV/atom.

=====

Entry from Materials Project: a relaxed structure of NdCuO3 (PBE-GGA).

a b c (Å): 6.502 7.185 5.395
angles (deg): 90.00 90.00 90.00
Space group Pnma (No. 62)
One atom of each set of equivalent atoms:
Nd1 0.104 0.250 0.026 (multiplicity 4)
Cu1 0.000 0.000 0.500 (multiplicity 4)
O1 0.037 0.750 0.391 (multiplicity 4)
O2 0.156 0.545 0.785 (multiplicity 8)

## Properties
As for the crystal system: orthorhombic. The value obtained for the energy of formation from the pure elements is -2.38 eV/atom.

=====

Entry from Materials Project: a relaxed structure of Sr2TbHfO6 (PBE-GGA).

a b c (Å): 8.563 8.563 8.563
angles (deg): 90.00 90.00 90.00
Space group Fm-3m (No. 225)
One atom of each set of equivalent atoms:
Sr1 0.250 0.250 0.250 (multiplicity 8)
Tb1 0.000 0.000 0.000 (multiplicity 4)
Hf1 0.000 0.000 0.500 (multiplicity 4)
O1 0.000 0.000 0.259 (multiplicity 24)

## Properties
As for the crystal system: cubic. The value obtained for the energy of formation from the pure elements is -3.39 eV/atom.

=====

Entry from Materials Project: a relaxed structure of ErSiAg (PBE-GGA).

a b c (Å): 7.0272 7.0272 4.1524
angles (deg): 90.00 90.00 120.00
Space group P-62m (No. 189)
One atom of each set of equivalent atoms:
Er1 0.0000 0.5806 0.0000 (multiplicity 3)
Si1 0.0000 0.0000 0.0000 (multiplicity 1)
Si2 0.3333 0.6667 0.5000 (multiplicity 2)
Ag1 0.0000 0.2500 0.5000 (multiplicity 3)

## Properties
As for the crystal system: hexagonal. The value obtained for the energy of formation from the pure elements is -0.59 eV/atom.

=====

Entry from Materials Project: a relaxed structure of MnBe2 (PBE-GGA).

a b c (Å): 4.1445 4.1445 6.7595
angles (deg): 90.00 90.00 120.00
Space group P6_3/mmc (No. 194)
One atom of each set of equivalent atoms:
Mn1 0.3333 0.6667 0.0606 (multiplicity 4)
Be1 0.0000 0.0000 0.0000 (multiplicity 2)
Be2 0.1701 0.3402 0.7500 (multiplicity 6)

## Properties
As for the crystal system: hexagonal. The value obtained for the energy of formation from the pure elements is -0.25 eV/atom.